--- w ---
Density functional theory data (PBE with a Hubbard U) for an optimized crystal structure of Li2Fe2Mo3O12.

a b c (Å): 9.4810 9.6691 13.2103
angles (deg): 90.00 90.00 90.00
Element x y z (fractional)
Li (0.2337, 0.2773, 0.8101)
Li (0.7337, 0.2227, 0.6899)
Li (0.2663, 0.2773, 0.1899)
Li (0.7663, 0.2227, 0.3101)
Li (0.7663, 0.7227, 0.1899)
Li (0.2663, 0.7773, 0.3101)
Li (0.7337, 0.7227, 0.8101)
Li (0.2337, 0.7773, 0.6899)
Fe (0.0348, 0.2538, 0.6220)
Fe (0.5348, 0.2462, 0.8780)
Fe (0.4652, 0.2538, 0.3780)
Fe (0.9652, 0.2462, 0.1220)
Fe (0.9652, 0.7462, 0.3780)
Fe (0.4652, 0.7538, 0.1220)
Fe (0.5348, 0.7462, 0.6220)
Fe (0.0348, 0.7538, 0.8780)
Mo (0.3976, 0.0972, 0.6430)
Mo (0.8976, 0.4028, 0.8570)
Mo (0.1024, 0.0972, 0.3570)
Mo (0.6024, 0.4028, 0.1430)
Mo (0.6024, 0.9028, 0.3570)
Mo (0.1024, 0.5972, 0.1430)
Mo (0.8976, 0.9028, 0.6430)
Mo (0.3976, 0.5972, 0.8570)
Mo (0.2500, 0.0370, 0.0000)
Mo (0.7500, 0.4630, 0.5000)
Mo (0.7500, 0.9630, 0.0000)
Mo (0.2500, 0.5370, 0.5000)
O (0.2309, 0.1710, 0.6798)
O (0.7309, 0.3290, 0.8202)
O (0.2691, 0.1710, 0.3202)
O (0.7691, 0.3290, 0.1798)
O (0.7691, 0.8290, 0.3202)
O (0.2691, 0.6710, 0.1798)
O (0.7309, 0.8290, 0.6798)
O (0.2309, 0.6710, 0.8202)
O (0.4321, 0.1411, 0.5154)
O (0.9321, 0.3589, 0.9846)
O (0.0679, 0.1411, 0.4846)
O (0.5679, 0.3589, 0.0154)
O (0.5679, 0.8589, 0.4846)
O (0.0679, 0.6411, 0.0154)
O (0.9321, 0.8589, 0.5154)
O (0.4321, 0.6411, 0.9846)
O (0.1245, 0.4311, 0.5638)
O (0.6245, 0.0689, 0.9362)
O (0.3755, 0.4311, 0.4362)
O (0.8755, 0.0689, 0.0638)
O (0.8755, 0.5689, 0.4362)
O (0.3755, 0.9311, 0.0638)
O (0.6245, 0.5689, 0.5638)
O (0.1245, 0.9311, 0.9362)
O (0.5355, 0.1713, 0.7200)
O (0.0355, 0.3287, 0.7800)
O (0.9645, 0.1713, 0.2800)
O (0.4645, 0.3287, 0.2200)
O (0.4645, 0.8287, 0.2800)
O (0.9645, 0.6713, 0.2200)
O (0.0355, 0.8287, 0.7200)
O (0.5355, 0.6713, 0.7800)
O (0.3328, 0.1477, 0.9068)
O (0.8328, 0.3523, 0.5932)
O (0.1672, 0.1477, 0.0932)
O (0.6672, 0.3523, 0.4068)
O (0.6672, 0.8523, 0.0932)
O (0.1672, 0.6477, 0.4068)
O (0.8328, 0.8523, 0.9068)
O (0.3328, 0.6477, 0.5932)
O (0.3926, 0.4109, 0.8384)
O (0.8926, 0.0891, 0.6616)
O (0.1074, 0.4109, 0.1616)
O (0.6074, 0.0891, 0.3384)
O (0.6074, 0.5891, 0.1616)
O (0.1074, 0.9109, 0.3384)
O (0.8926, 0.5891, 0.8384)
O (0.3926, 0.9109, 0.6616)

--- x ---
Density functional theory data (PBE with a Hubbard U) for an optimized crystal structure of Li2Fe2Mo3O12.

a b c (Å): 5.2324 10.7351 20.9737
angles (deg): 59.25 90.00 90.00
Element x y z (fractional)
Li (0.9949, 0.0493, 0.2006)
Li (0.4969, 0.9520, 0.3008)
Li (0.5031, 0.9520, 0.8008)
Li (0.0051, 0.0493, 0.7006)
Li (0.5026, 0.9524, 0.4713)
Li (0.4974, 0.9524, 0.9713)
Li (0.8557, 0.5000, 0.2492)
Li (0.1443, 0.5000, 0.7492)
Fe (0.0014, 0.0440, 0.0265)
Fe (0.0015, 0.3975, 0.5279)
Fe (0.5012, 0.6053, 0.9724)
Fe (0.9986, 0.0440, 0.5265)
Fe (0.4988, 0.6053, 0.4724)
Fe (0.9985, 0.3975, 0.0279)
Fe (0.3522, 0.4985, 0.2504)
Fe (0.6478, 0.4985, 0.7504)
Mo (0.0274, 0.1291, 0.3436)
Mo (0.5278, 0.8717, 0.1561)
Mo (0.4688, 0.3150, 0.6568)
Mo (0.9697, 0.6841, 0.8432)
Mo (0.4722, 0.8717, 0.6561)
Mo (0.9726, 0.1291, 0.8436)
Mo (0.0303, 0.6841, 0.3432)
Mo (0.5312, 0.3150, 0.1568)
Mo (0.5313, 0.3067, 0.4419)
Mo (0.0311, 0.6927, 0.0583)
Mo (0.9689, 0.6927, 0.5583)
Mo (0.4687, 0.3067, 0.9419)
O (0.1096, 0.3208, 0.2949)
O (0.5983, 0.6793, 0.2051)
O (0.3982, 0.4099, 0.7046)
O (0.8932, 0.5905, 0.7953)
O (0.4017, 0.6793, 0.7051)
O (0.8904, 0.3208, 0.7949)
O (0.1068, 0.5905, 0.2953)
O (0.6018, 0.4099, 0.2046)
O (0.8326, 0.0897, 0.2861)
O (0.3345, 0.9108, 0.2133)
O (0.6659, 0.1639, 0.7121)
O (0.1656, 0.8358, 0.7871)
O (0.6655, 0.9108, 0.7133)
O (0.1674, 0.0897, 0.7861)
O (0.8344, 0.8358, 0.2871)
O (0.3341, 0.1639, 0.2121)
O (0.8130, 0.2472, 0.5032)
O (0.3075, 0.7503, 0.9978)
O (0.6925, 0.7503, 0.4978)
O (0.1870, 0.2472, 0.0032)
O (0.8383, 0.0868, 0.4255)
O (0.3319, 0.9158, 0.0765)
O (0.6630, 0.4340, 0.5745)
O (0.1639, 0.5645, 0.9255)
O (0.6681, 0.9158, 0.5765)
O (0.1617, 0.0868, 0.9255)
O (0.8361, 0.5645, 0.4255)
O (0.3370, 0.4340, 0.0745)
O (0.6049, 0.4050, 0.3453)
O (0.1121, 0.5952, 0.1547)
O (0.8879, 0.5952, 0.6547)
O (0.3951, 0.4050, 0.8453)
O (0.3349, 0.4225, 0.4621)
O (0.8336, 0.5764, 0.0381)
O (0.1620, 0.8462, 0.5386)
O (0.6671, 0.1558, 0.9624)
O (0.1664, 0.5764, 0.5381)
O (0.6651, 0.4225, 0.9621)
O (0.3329, 0.1558, 0.4624)
O (0.8380, 0.8462, 0.0386)
O (0.3022, 0.0145, 0.3728)
O (0.8113, 0.9877, 0.1255)
O (0.1872, 0.2608, 0.6257)
O (0.6887, 0.7385, 0.8742)
O (0.1887, 0.9877, 0.6255)
O (0.6978, 0.0145, 0.8728)
O (0.3113, 0.7385, 0.3742)
O (0.8128, 0.2608, 0.1257)

w comes first in stability; the runner-up is 6 meV per atom higher.

--- w ---
Density functional theory data (PBE with a Hubbard U) for an optimized crystal structure of NaLi3Ti2Fe2P6O24.

a b c (Å): 8.9603 8.9603 8.9603
angles (deg): 56.45 56.45 56.45
Element x y z (fractional)
Na (0.4955, 0.4955, 0.4955)
Li (0.2615, 0.9224, 0.6746)
Li (0.6746, 0.2615, 0.9224)
Li (0.9224, 0.6746, 0.2615)
Ti (0.8533, 0.8533, 0.8533)
Ti (0.1426, 0.1426, 0.1426)
Fe (0.3539, 0.3539, 0.3539)
Fe (0.6525, 0.6525, 0.6525)
P (0.2488, 0.5359, 0.9680)
P (0.0428, 0.7497, 0.4601)
P (0.4601, 0.0428, 0.7497)
P (0.5359, 0.9680, 0.2488)
P (0.9680, 0.2488, 0.5359)
P (0.7497, 0.4601, 0.0428)
O (0.4697, 0.8631, 0.7528)
O (0.7528, 0.4697, 0.8631)
O (0.1950, 0.3818, 0.0010)
O (0.1153, 0.7405, 0.8775)
O (0.2668, 0.1102, 0.9008)
O (0.8631, 0.7528, 0.4697)
O (0.9936, 0.8051, 0.6229)
O (0.4587, 0.5080, 0.8230)
O (0.2014, 0.5509, 0.4800)
O (0.6229, 0.9936, 0.8051)
O (0.1102, 0.9008, 0.2668)
O (0.4800, 0.2014, 0.5509)
O (0.5080, 0.8230, 0.4587)
O (0.8775, 0.1153, 0.7405)
O (0.3818, 0.0010, 0.1950)
O (0.8230, 0.4587, 0.5080)
O (0.5509, 0.4800, 0.2014)
O (0.0010, 0.1950, 0.3818)
O (0.1625, 0.2134, 0.5281)
O (0.7405, 0.8775, 0.1153)
O (0.9008, 0.2668, 0.1102)
O (0.8051, 0.6229, 0.9936)
O (0.2134, 0.5281, 0.1625)
O (0.5281, 0.1625, 0.2134)

--- x ---
Density functional theory data (PBE with a Hubbard U) for an optimized crystal structure of NaLi3Ti2Fe2P6O24.

a b c (Å): 8.5014 8.9555 21.0111
angles (deg): 92.43 90.04 118.32
Element x y z (fractional)
Na (0.3459, 0.6885, 0.6630)
Na (0.3345, 0.6684, 0.1639)
Na (0.6758, 0.3512, 0.3337)
Li (0.1278, 0.6217, 0.7825)
Li (0.5829, 0.5374, 0.6964)
Li (0.7618, 0.7669, 0.9130)
Li (0.4604, 0.2907, 0.4496)
Li (0.9135, 0.2020, 0.3674)
Li (0.0800, 0.4186, 0.5726)
Li (0.8127, 0.9680, 0.1058)
Li (0.2346, 0.8897, 0.0251)
Li (0.4166, 0.0864, 0.2414)
Ti (0.1897, 0.3821, 0.9522)
Ti (0.4739, 0.9539, 0.8814)
Ti (0.5298, 0.0572, 0.6150)
Ti (0.8604, 0.7229, 0.2874)
Ti (0.1318, 0.2684, 0.7164)
Ti (0.1423, 0.2814, 0.2148)
Fe (0.8102, 0.6181, 0.5473)
Fe (0.8663, 0.7344, 0.7836)
Fe (0.2086, 0.4115, 0.4499)
Fe (0.4718, 0.9414, 0.3823)
Fe (0.5365, 0.0757, 0.1141)
Fe (0.8075, 0.6154, 0.0480)
P (0.9042, 0.0949, 0.8477)
P (0.2886, 0.9966, 0.7481)
P (0.4733, 0.2427, 0.9873)
P (0.8639, 0.4314, 0.6762)
P (0.0520, 0.6715, 0.9178)
P (0.2399, 0.7664, 0.5126)
P (0.4266, 0.5759, 0.8213)
P (0.6225, 0.6684, 0.4162)
P (0.8044, 0.9001, 0.6537)
P (0.1965, 0.1001, 0.3443)
P (0.3860, 0.3418, 0.5854)
P (0.5764, 0.4347, 0.1807)
P (0.7593, 0.2450, 0.4852)
P (0.9580, 0.3370, 0.0818)
P (0.1383, 0.5740, 0.3203)
P (0.5225, 0.7623, 0.0102)
P (0.7170, 0.0033, 0.2492)
P (0.0943, 0.9055, 0.1552)
O (0.3847, 0.7285, 0.8245)
O (0.5721, 0.8469, 0.9445)
O (0.2394, 0.8328, 0.9277)
O (0.9872, 0.1902, 0.9109)
O (0.7049, 0.0501, 0.8434)
O (0.0044, 0.2108, 0.7924)
O (0.4097, 0.9759, 0.6986)
O (0.3735, 0.0268, 0.8158)
O (0.5268, 0.1412, 0.9374)
O (0.7192, 0.2454, 0.6647)
O (0.0389, 0.4428, 0.7072)
O (0.0689, 0.5159, 0.9361)
O (0.2627, 0.1525, 0.7336)
O (0.3040, 0.2435, 0.9631)
O (0.7123, 0.3924, 0.4898)
O (0.6281, 0.4208, 0.9976)
O (0.9225, 0.5140, 0.6112)
O (0.7939, 0.5221, 0.7233)
O (0.9804, 0.6454, 0.8483)
O (0.5680, 0.5020, 0.5998)
O (0.3255, 0.8551, 0.5785)
O (0.9246, 0.7034, 0.9623)
O (0.0426, 0.7181, 0.5079)
O (0.3201, 0.4519, 0.8722)
O (0.3419, 0.8852, 0.4601)
O (0.6273, 0.6299, 0.8300)
O (0.7433, 0.6402, 0.3662)
O (0.3623, 0.4911, 0.7524)
O (0.1091, 0.8299, 0.7451)
O (0.7002, 0.6938, 0.4834)
O (0.8772, 0.8217, 0.6046)
O (0.7494, 0.7999, 0.7157)
O (0.0521, 0.9138, 0.3329)
O (0.9220, 0.9311, 0.8440)
O (0.3750, 0.1176, 0.3712)
O (0.4018, 0.1830, 0.6014)
O (0.6051, 0.8228, 0.3978)
O (0.6358, 0.9067, 0.6305)
O (0.0651, 0.0656, 0.1605)
O (0.9527, 0.0877, 0.6699)
O (0.2457, 0.1826, 0.2777)
O (0.1246, 0.1888, 0.3912)
O (0.3146, 0.3174, 0.5160)
O (0.9048, 0.1636, 0.2592)
O (0.6583, 0.5185, 0.2465)
O (0.2485, 0.3643, 0.6298)
O (0.3763, 0.3966, 0.1793)
O (0.6550, 0.1190, 0.5371)
O (0.6684, 0.5510, 0.1269)
O (0.9596, 0.2976, 0.4937)
O (0.0764, 0.3099, 0.0330)
O (0.6976, 0.1618, 0.4166)
O (0.4428, 0.4970, 0.4093)
O (0.0493, 0.3623, 0.1494)
O (0.1945, 0.4812, 0.2672)
O (0.0877, 0.4681, 0.3805)
O (0.3809, 0.5759, 0.0005)
O (0.2599, 0.6006, 0.5118)
O (0.6989, 0.7787, 0.0388)
O (0.7315, 0.8468, 0.2690)
O (0.9412, 0.4955, 0.0711)
O (0.9634, 0.5697, 0.2975)
O (0.2884, 0.7553, 0.3282)
O (0.4472, 0.8494, 0.0584)
O (0.6416, 0.9668, 0.1795)
O (0.5899, 0.0401, 0.2926)
O (0.9890, 0.7848, 0.2073)
O (0.2938, 0.9473, 0.1638)
O (0.0289, 0.8266, 0.0873)
O (0.7781, 0.1691, 0.0804)
O (0.4187, 0.1380, 0.0485)
O (0.5806, 0.2626, 0.1779)

w comes first in stability; the runner-up is 13 meV per atom higher.